Entry a
VASP calculation (r2SCAN) on crystalline B at its relaxed geometry.

## Properties
Space-group type   Pnnm, No. 58
Crystal system   orthorhombic

abc: 5.0316 5.5997 6.9388
angles: 90.00 90.00 90.00
Closest atoms and distances in Å follow each position.
Atoms (fractional coordinates):
B: 0.1480 0.2290 0.0000  6 B 1.67-1.80
B: 0.1531 0.4071 0.2081  6 B 1.76-1.86
B: 0.1531 0.4071 0.7919  6 B 1.76-1.86
B: 0.1607 0.7192 0.1253  7 B 1.74-1.90
B: 0.1607 0.7192 0.8747  7 B 1.74-1.90
B: 0.1642 0.9923 0.5000  6 B 1.65-1.78
B: 0.1699 0.4805 0.5000  2 B 1.67-1.72
B: 0.3301 0.9805 0.0000  2 B 1.67-1.72
B: 0.3358 0.4923 0.0000  6 B 1.65-1.78
B: 0.3393 0.2192 0.3747  7 B 1.74-1.90
B: 0.3393 0.2192 0.6253  7 B 1.74-1.90
B: 0.3469 0.9071 0.2919  6 B 1.76-1.86
B: 0.3469 0.9071 0.7081  6 B 1.76-1.86
B: 0.3520 0.7290 0.5000  6 B 1.67-1.80
B: 0.6480 0.2710 0.5000  6 B 1.67-1.80
B: 0.6531 0.0929 0.2919  6 B 1.76-1.86
B: 0.6531 0.0929 0.7081  6 B 1.76-1.86
B: 0.6607 0.7808 0.3747  7 B 1.74-1.90
B: 0.6607 0.7808 0.6253  7 B 1.74-1.90
B: 0.6642 0.5077 0.0000  6 B 1.65-1.78
B: 0.6699 0.0195 0.0000  2 B 1.67-1.72
B: 0.8301 0.5195 0.5000  2 B 1.67-1.72
B: 0.8358 0.0077 0.5000  6 B 1.65-1.78
B: 0.8393 0.2808 0.1253  7 B 1.74-1.90
B: 0.8393 0.2808 0.8747  7 B 1.74-1.90
B: 0.8469 0.5929 0.2081  6 B 1.76-1.86
B: 0.8469 0.5929 0.7919  6 B 1.76-1.86
B: 0.8520 0.7710 0.0000  6 B 1.67-1.80

---

Entry b
VASP calculation (r2SCAN) on crystalline B at its relaxed geometry.

## Properties
Space-group type   P4_2/nnm, No. 134
Crystal system   tetragonal

abc: 8.8495 8.8495 4.9203
angles: 90.00 90.00 90.00
Closest atoms and distances in Å follow each position.
Atoms (fractional coordinates):
B: 0.0042 0.5042 0.1757  6 B 1.72-1.80
B: 0.0042 0.9958 0.3243  6 B 1.72-1.80
B: 0.0218 0.6674 0.6623  6 B 1.70-1.82
B: 0.0218 0.8326 0.8377  6 B 1.70-1.82
B: 0.0800 0.1641 0.8443  6 B 1.78-1.86
B: 0.0800 0.3359 0.6557  6 B 1.78-1.86
B: 0.1212 0.6212 0.3574  6 B 1.70-1.82
B: 0.1212 0.8788 0.1426  6 B 1.70-1.82
B: 0.1641 0.0800 0.1557  6 B 1.78-1.86
B: 0.1641 0.4200 0.3443  6 B 1.78-1.86
B: 0.1674 0.5218 0.6623  6 B 1.70-1.82
B: 0.1674 0.9782 0.8377  6 B 1.70-1.82
B: 0.2500 0.7500 0.2500  4 B 1.70
B: 0.3326 0.5218 0.8377  6 B 1.70-1.82
B: 0.3326 0.9782 0.6623  6 B 1.70-1.82
B: 0.3359 0.0800 0.3443  6 B 1.78-1.86
B: 0.3359 0.4200 0.1557  6 B 1.78-1.86
B: 0.3788 0.6212 0.1426  6 B 1.70-1.82
B: 0.3788 0.8788 0.3574  6 B 1.70-1.82
B: 0.4200 0.1641 0.6557  6 B 1.78-1.86
B: 0.4200 0.3359 0.8443  6 B 1.78-1.86
B: 0.4782 0.6674 0.8377  6 B 1.70-1.82
B: 0.4782 0.8326 0.6623  6 B 1.70-1.82
B: 0.4958 0.5042 0.3243  6 B 1.72-1.80
B: 0.4958 0.9958 0.1757  6 B 1.72-1.80
B: 0.5042 0.0042 0.8243  6 B 1.72-1.80
B: 0.5042 0.4958 0.6757  6 B 1.72-1.80
B: 0.5218 0.1674 0.3377  6 B 1.70-1.82
B: 0.5218 0.3326 0.1623  6 B 1.70-1.82
B: 0.5800 0.6641 0.1557  6 B 1.78-1.86
B: 0.5800 0.8359 0.3443  6 B 1.78-1.86
B: 0.6212 0.1212 0.6426  6 B 1.70-1.82
B: 0.6212 0.3788 0.8574  6 B 1.70-1.82
B: 0.6641 0.5800 0.8443  6 B 1.78-1.86
B: 0.6641 0.9200 0.6557  6 B 1.78-1.86
B: 0.6674 0.0218 0.3377  6 B 1.70-1.82
B: 0.6674 0.4782 0.1623  6 B 1.70-1.82
B: 0.7500 0.2500 0.7500  4 B 1.70
B: 0.8326 0.0218 0.1623  6 B 1.70-1.82
B: 0.8326 0.4782 0.3377  6 B 1.70-1.82
B: 0.8359 0.5800 0.6557  6 B 1.78-1.86
B: 0.8359 0.9200 0.8443  6 B 1.78-1.86
B: 0.8788 0.1212 0.8574  6 B 1.70-1.82
B: 0.8788 0.3788 0.6426  6 B 1.70-1.82
B: 0.9200 0.6641 0.3443  6 B 1.78-1.86
B: 0.9200 0.8359 0.1557  6 B 1.78-1.86
B: 0.9782 0.1674 0.1623  6 B 1.70-1.82
B: 0.9782 0.3326 0.3377  6 B 1.70-1.82
B: 0.9958 0.0042 0.6757  6 B 1.72-1.80
B: 0.9958 0.4958 0.8243  6 B 1.72-1.80

---

Quick ranking, most stable first: entry a, entry b.

---

Entry a
VASP calculation (r2SCAN) on crystalline H at its relaxed geometry.

## Properties
Space-group type   P2_1, No. 4
Crystal system   monoclinic

abc: 7.9363 10.7442 9.0018
angles: 90.00 102.09 90.00
Closest atoms and distances in Å follow each position.
Atoms (fractional coordinates):
H: 0.0014 0.1408 0.1707  1 H 0.74
H: 0.0180 0.9371 0.8454  1 H 0.74
H: 0.0418 0.0000 0.8766  1 H 0.74
H: 0.0509 0.6748 0.8946  1 H 0.74
H: 0.0841 0.3195 0.8229  1 H 0.74
H: 0.1695 0.3498 0.8462  1 H 0.74
H: 0.1781 0.6949 0.4178  1 H 0.74
H: 0.1887 0.6282 0.4010  1 H 0.74
H: 0.3392 0.1322 0.4295  1 H 0.74
H: 0.3527 0.1961 0.4033  1 H 0.74
H: 0.3664 0.8225 0.8406  1 H 0.74
H: 0.4099 0.8321 0.7762  1 H 0.74
H: 0.4624 0.1548 0.8781  1 H 0.74
H: 0.4629 0.6332 0.1525  1 H 0.74
H: 0.4840 0.9297 0.1864  1 H 0.74
H: 0.4955 0.4958 0.8256  1 H 0.74
H: 0.5045 0.9958 0.1744  1 H 0.74
H: 0.5160 0.4297 0.8136  1 H 0.74
H: 0.5371 0.1332 0.8475  1 H 0.74
H: 0.5376 0.6548 0.1219  1 H 0.74
H: 0.5901 0.3321 0.2238  1 H 0.74
H: 0.6336 0.3225 0.1594  1 H 0.74
H: 0.6473 0.6961 0.5967  1 H 0.74
H: 0.6608 0.6322 0.5705  1 H 0.74
H: 0.8113 0.1282 0.5990  1 H 0.74
H: 0.8219 0.1949 0.5822  1 H 0.74
H: 0.8305 0.8498 0.1538  1 H 0.74
H: 0.9159 0.8195 0.1771  1 H 0.74
H: 0.9491 0.1748 0.1054  1 H 0.74
H: 0.9582 0.5000 0.1234  1 H 0.74
H: 0.9820 0.4371 0.1546  1 H 0.74
H: 0.9986 0.6408 0.8293  1 H 0.74

---

Entry b
VASP calculation (r2SCAN) on crystalline H at its relaxed geometry.

## Properties
Space-group type   P4/mmm, No. 123
Crystal system   tetragonal

abc: 2.6496 2.6496 0.9805
angles: 90.00 90.00 90.00
Closest atoms and distances in Å follow each position.
Atoms (fractional coordinates):
H: 0.0000 0.0000 0.0000  2 H 0.98

---

Quick ranking, most stable first: entry a, entry b.

---

Entry a
VASP calculation (r2SCAN) on crystalline PrYMg2 at its relaxed geometry.

## Properties
Space-group type   Fm-3m, No. 225
Crystal system   cubic

abc: 5.4608 5.4608 5.4608
angles: 60.00 60.00 60.00
Closest atoms and distances in Å follow each position.
Atoms (fractional coordinates):
Pr: 0.0000 0.0000 0.0000  8 Mg 3.34
Y: 0.5000 0.5000 0.5000  8 Mg 3.34
Mg: 0.2500 0.2500 0.2500  4 Y 3.34, 4 Pr 3.34
Mg: 0.7500 0.7500 0.7500  4 Y 3.34, 4 Pr 3.34

---

Entry b
VASP calculation (r2SCAN) on crystalline PrYMg2 at its relaxed geometry.

## Properties
Space-group type   P4/mmm, No. 123
Crystal system   tetragonal

abc: 3.8505 3.8505 7.8121
angles: 90.00 90.00 90.00
Closest atoms and distances in Å follow each position.
Atoms (fractional coordinates):
Pr: 0.0000 0.0000 0.0000  8 Mg 3.40
Y: 0.0000 0.0000 0.5000  8 Mg 3.30
Mg: 0.5000 0.5000 0.2613  4 Y 3.30, 4 Pr 3.40
Mg: 0.5000 0.5000 0.7387  4 Y 3.30, 4 Pr 3.40

---

Quick ranking, most stable first: entry a, entry b.